Model P:
CaNdMn2O6: relaxed, GGA+U.

Unit cell a=7.6956 b=5.5270 c=5.4543 alpha=90.00 beta=90.00 gamma=90.00
Closest atoms and distances in Å follow each position.
Space group Pmn2_1 (No. 31)
One atom of each set of equivalent atoms:
Ca 0.0000 0.2074 0.0000 [2 per cell]  6 O 2.37-2.63
Nd 0.0000 0.7057 0.4832 [2 per cell]  6 O 2.39-2.59
Mn 0.2498 0.2479 0.4931 [4 per cell]  6 O 1.97-2.01
O 0.0000 0.2693 0.5705 [2 per cell]  2 Mn 1.97
O 0.0000 0.7687 0.9166 [2 per cell]  2 Mn 1.97
O 0.2082 0.4609 0.2043 [4 per cell]  2 Mn 1.99-2.01
O 0.2113 0.9586 0.2844 [4 per cell]  2 Mn 1.98

Properties
Calculated volume in Å³ per atom: 11.6
Crystal system: orthorhombic
Total magnetic moment in μB per formula unit: 7.00

Model Q:
CaNdMn2O6: relaxed, GGA+U.

Unit cell a=7.7133 b=7.6744 c=12.2036 alpha=90.00 beta=108.01 gamma=90.00
Closest atoms and distances in Å follow each position.
Space group Pm (No. 6)
One atom of each set of equivalent atoms:
Ca 0.0000 0.0000 0.0000 [1 per cell]  6 O 2.38-2.62
Ca 0.1139 0.5000 0.3144 [1 per cell]  6 O 2.40-2.62
Ca 0.2813 0.5000 0.6368 [1 per cell]  8 O 2.40-2.66
Ca 0.4437 0.5000 0.9744 [1 per cell]  6 O 2.37-2.56
Ca 0.6720 0.0000 0.3448 [1 per cell]  8 O 2.41-2.65
Ca 0.8401 0.0000 0.6664 [1 per cell]  6 O 2.38-2.60
Nd 0.1679 0.0000 0.3281 [1 per cell]  8 O 2.44-2.68
Nd 0.3257 0.0000 0.6672 [1 per cell]  6 O 2.41-2.59
Nd 0.5015 0.0000 0.0004 [1 per cell]  8 O 2.41-2.68
Nd 0.6229 0.5000 0.3034 [1 per cell]  8 O 2.43-2.70
Nd 0.7862 0.5000 0.6463 [1 per cell]  8 O 2.42-2.66
Nd 0.9586 0.5000 0.9813 [1 per cell]  6 O 2.42-2.61
Mn 0.1429 0.2511 0.8218 [2 per cell]  6 O 1.95-1.98
Mn 0.3090 0.2506 0.1544 [2 per cell]  6 O 1.95-1.99
Mn 0.4768 0.2507 0.4882 [2 per cell]  6 O 1.96-1.98
Mn 0.6426 0.2501 0.8220 [2 per cell]  6 O 1.96-1.98
Mn 0.8103 0.2478 0.1561 [2 per cell]  6 O 1.95-1.98
Mn 0.9762 0.2498 0.4885 [2 per cell]  6 O 1.95-1.98
O 0.9996 0.0000 0.4674 [1 per cell]  2 Mn 1.95
O 0.0690 0.2165 0.1745 [2 per cell]  2 Mn 1.95-1.96
O 0.0898 0.2198 0.6551 [2 per cell]  2 Mn 1.96
O 0.1148 0.0000 0.8397 [1 per cell]  2 Mn 1.96
O 0.1714 0.5000 0.8008 [1 per cell]  2 Mn 1.95
O 0.1973 0.2859 0.9881 [2 per cell]  2 Mn 1.96
O 0.2147 0.2830 0.4630 [2 per cell]  2 Mn 1.96-1.98
O 0.2903 0.5000 0.1833 [1 per cell]  2 Mn 1.96
O 0.3171 0.0000 0.1281 [1 per cell]  2 Mn 1.95
O 0.4036 0.2095 0.8417 [2 per cell]  2 Mn 1.96-1.98
O 0.4313 0.2120 0.3213 [2 per cell]  2 Mn 1.98-1.99
O 0.4418 0.0000 0.5049 [1 per cell]  2 Mn 1.96
O 0.5124 0.5000 0.4692 [1 per cell]  2 Mn 1.96
O 0.5227 0.2912 0.6551 [2 per cell]  2 Mn 1.98
O 0.5467 0.2886 0.1297 [2 per cell]  2 Mn 1.97-1.98
O 0.6336 0.5000 0.8547 [1 per cell]  2 Mn 1.96
O 0.6538 0.0000 0.7897 [1 per cell]  2 Mn 1.97
O 0.7390 0.2154 0.5152 [2 per cell]  2 Mn 1.97
O 0.7609 0.2090 0.9891 [2 per cell]  2 Mn 1.98
O 0.7768 0.0000 0.1782 [1 per cell]  2 Mn 1.95
O 0.8409 0.5000 0.1435 [1 per cell]  2 Mn 1.96
O 0.8598 0.2791 0.3224 [2 per cell]  2 Mn 1.96
O 0.8831 0.2901 0.8041 [2 per cell]  2 Mn 1.96-1.97
O 0.9561 0.5000 0.5093 [1 per cell]  2 Mn 1.95

Properties
Calculated volume in Å³ per atom: 11.4
Crystal system: monoclinic
Total magnetic moment in μB per formula unit: 7.00

It comes down to model P, which is 5 meV/atom more stable than the next structure.

Model P:
Ca8Mn8O23: relaxed, GGA+U.

Unit cell a=7.6172 b=7.6172 c=7.6732 alpha=90.00 beta=90.00 gamma=90.00
Closest atoms and distances in Å follow each position.
Space group P4/mmm (No. 123)
One atom of each set of equivalent atoms:
Ca 0.2354 0.2354 0.0000 [4 per cell]  7 O 2.54-2.70
Ca 0.2443 0.2443 0.5000 [4 per cell]  11 O 2.57-2.72
Mn 0.0000 0.0000 0.2513 [2 per cell]  6 O 1.90-1.93
Mn 0.0000 0.5000 0.2537 [4 per cell]  6 O 1.89-1.95
Mn 0.5000 0.5000 0.2417 [2 per cell]  5 O 1.85-1.90
O 0.0000 0.0000 0.0000 [1 per cell]  2 Mn 1.93
O 0.0000 0.0000 0.5000 [1 per cell]  2 Mn 1.91
O 0.0000 0.2499 0.2414 [8 per cell]  2 Mn 1.90-1.91
O 0.0000 0.5000 0.0000 [2 per cell]  2 Mn 1.95
O 0.0000 0.5000 0.5000 [2 per cell]  2 Mn 1.89
O 0.2542 0.5000 0.2818 [8 per cell]  2 Mn 1.90-1.95
O 0.5000 0.5000 0.0000 [1 per cell]  2 Mn 1.85

Properties
Calculated volume in Å³ per atom: 11.4
Crystal system: tetragonal
Total magnetic moment in μB per formula unit: 26.00

Model Q:
Ca8Mn8O23: relaxed, GGA+U.

Unit cell a=10.7182 b=10.9100 c=15.2670 alpha=90.06 beta=90.11 gamma=90.29
Closest atoms and distances in Å follow each position.
Space group P1 (No. 1)
One atom of each set of equivalent atoms:
Ca 0.0000 0.0000 0.0000 [1 per cell]  4 O 2.29-2.44
Ca 0.9995 0.0072 0.5121 [1 per cell]  5 O 2.29-2.51
Ca 0.0021 0.4898 0.5113 [1 per cell]  6 O 2.32-2.57
Ca 0.0072 0.4975 0.0022 [1 per cell]  5 O 2.32-2.56
Ca 0.2453 0.7459 0.0019 [1 per cell]  7 O 2.34-2.62
Ca 0.2470 0.2533 0.5101 [1 per cell]  4 O 2.28-2.52
Ca 0.2470 0.2539 0.9973 [1 per cell]  5 O 2.27-2.53
Ca 0.2579 0.2944 0.7544 [1 per cell]  6 O 2.34-2.60
Ca 0.2584 0.7935 0.7557 [1 per cell]  6 O 2.34-2.58
Ca 0.2589 0.3024 0.2500 [1 per cell]  7 O 2.34-2.58
Ca 0.2591 0.7500 0.5192 [1 per cell]  5 O 2.27-2.51
Ca 0.2593 0.7668 0.2490 [1 per cell]  5 O 2.22-2.46
Ca 0.4978 0.5442 0.7546 [1 per cell]  6 O 2.34-2.62
Ca 0.4987 0.0454 0.7538 [1 per cell]  6 O 2.34-2.60
Ca 0.5033 0.5425 0.2524 [1 per cell]  4 O 2.29-2.49
Ca 0.5061 0.4968 0.5059 [1 per cell]  7 O 2.35-2.63
Ca 0.5079 0.4948 0.0021 [1 per cell]  7 O 2.34-2.61
Ca 0.5100 0.0485 0.2590 [1 per cell]  6 O 2.29-2.55
Ca 0.5127 0.9982 0.5103 [1 per cell]  5 O 2.29-2.49
Ca 0.5165 0.0004 0.9954 [1 per cell]  5 O 2.28-2.45
Ca 0.7458 0.7465 0.5078 [1 per cell]  5 O 2.33-2.57
Ca 0.7478 0.2476 0.5066 [1 per cell]  5 O 2.34-2.55
Ca 0.7477 0.7939 0.2510 [1 per cell]  6 O 2.35-2.62
Ca 0.7488 0.2482 0.0022 [1 per cell]  5 O 2.33-2.55
Ca 0.7507 0.7487 0.0031 [1 per cell]  7 O 2.37-2.63
Ca 0.7571 0.2944 0.7544 [1 per cell]  5 O 2.33-2.57
Ca 0.7579 0.2965 0.2527 [1 per cell]  5 O 2.30-2.55
Ca 0.7581 0.7939 0.7545 [1 per cell]  5 O 2.34-2.57
Ca 0.9793 0.0537 0.2511 [1 per cell]  7 O 2.31-2.58
Ca 0.9921 0.5408 0.2466 [1 per cell]  5 O 2.26-2.52
Ca 0.9967 0.0440 0.7549 [1 per cell]  6 O 2.33-2.58
Ca 0.9970 0.5446 0.7554 [1 per cell]  5 O 2.34-2.57
Mn 0.0002 0.2730 0.1291 [1 per cell]  6 O 1.92-1.98
Mn 0.0024 0.2700 0.6309 [1 per cell]  6 O 1.94-1.98
Mn 0.0022 0.2709 0.8789 [1 per cell]  6 O 1.95-1.98
Mn 0.0016 0.2719 0.3783 [1 per cell]  6 O 1.93-2.12
Mn 0.0030 0.7711 0.8791 [1 per cell]  6 O 1.97-1.99
Mn 0.0032 0.7727 0.1309 [1 per cell]  6 O 1.94-2.13
Mn 0.0044 0.7708 0.6308 [1 per cell]  6 O 1.91-2.06
Mn 0.2439 0.0313 0.1157 [1 per cell]  4 O 1.86-1.89
Mn 0.2513 0.5205 0.6301 [1 per cell]  6 O 1.94-1.97
Mn 0.2517 0.5207 0.1270 [1 per cell]  6 O 1.94-2.02
Mn 0.2522 0.5211 0.8785 [1 per cell]  6 O 1.95-1.97
Mn 0.2534 0.0201 0.8771 [1 per cell]  6 O 1.91-1.98
Mn 0.2530 0.0208 0.6321 [1 per cell]  6 O 1.94-1.98
Mn 0.2602 0.5148 0.3795 [1 per cell]  5 O 1.93-1.96
Mn 0.2662 0.0384 0.3857 [1 per cell]  4 O 1.84-1.88
Mn 0.4997 0.7711 0.3790 [1 per cell]  5 O 1.94-2.00
Mn 0.5020 0.2717 0.6289 [1 per cell]  6 O 1.96-1.97
Mn 0.5021 0.7713 0.8791 [1 per cell]  6 O 1.96-1.98
Mn 0.5030 0.2698 0.1290 [1 per cell]  6 O 1.95-2.10
Mn 0.5028 0.2715 0.8781 [1 per cell]  6 O 1.95-1.99
Mn 0.5047 0.7713 0.6307 [1 per cell]  6 O 1.94-1.99
Mn 0.5078 0.2740 0.3779 [1 per cell]  6 O 1.90-1.99
Mn 0.5088 0.7613 0.1241 [1 per cell]  5 O 1.92-1.96
Mn 0.7496 0.0241 0.3805 [1 per cell]  6 O 1.91-1.98
Mn 0.7502 0.5182 0.3789 [1 per cell]  6 O 1.93-2.00
Mn 0.7512 0.0219 0.1279 [1 per cell]  6 O 1.94-1.99
Mn 0.7521 0.0215 0.6305 [1 per cell]  6 O 1.93-1.98
Mn 0.7520 0.5210 0.6295 [1 per cell]  6 O 1.95-1.98
Mn 0.7522 0.5214 0.8788 [1 per cell]  6 O 1.95-1.98
Mn 0.7534 0.0215 0.8777 [1 per cell]  6 O 1.94-1.97
Mn 0.7533 0.5179 0.1267 [1 per cell]  6 O 1.89-2.03
Mn 0.9761 0.7787 0.3758 [1 per cell]  4 O 1.84-1.86
O 0.0423 0.7606 0.7531 [1 per cell]  2 Mn 1.91-1.97
O 0.0427 0.2602 0.7545 [1 per cell]  2 Mn 1.94-1.95
O 0.0444 0.2620 0.2547 [1 per cell]  2 Mn 1.95-1.98
O 0.0501 0.7628 0.2664 [1 per cell]  1 Mn 1.86
O 0.0969 0.1256 0.1142 [1 per cell]  2 Mn 1.89-1.93
O 0.1072 0.1084 0.3892 [1 per cell]  1 Mn 1.87
O 0.1068 0.6254 0.6075 [1 per cell]  2 Mn 1.96-1.97
O 0.1067 0.6250 0.8996 [1 per cell]  2 Mn 1.96-1.97
O 0.1072 0.6263 0.1100 [1 per cell]  2 Mn 1.95-1.98
O 0.1079 0.1263 0.9018 [1 per cell]  2 Mn 1.98
O 0.1082 0.1280 0.6089 [1 per cell]  2 Mn 1.95-1.98
O 0.1459 0.3800 0.4025 [1 per cell]  2 Mn 1.94-1.97
O 0.1473 0.8782 0.6097 [1 per cell]  2 Mn 1.95
O 0.1480 0.3761 0.6088 [1 per cell]  2 Mn 1.95-1.97
O 0.1488 0.3764 0.8989 [1 per cell]  2 Mn 1.95-1.97
O 0.1493 0.8769 0.9010 [1 per cell]  2 Mn 1.95-1.97
O 0.1520 0.3738 0.1096 [1 per cell]  2 Mn 1.94-1.98
O 0.1663 0.8772 0.1256 [1 per cell]  2 Mn 1.88-2.08
O 0.2110 0.0102 0.7556 [1 per cell]  2 Mn 1.91-1.94
O 0.2111 0.5215 0.2558 [1 per cell]  2 Mn 1.96-2.02
O 0.2121 0.5104 0.7538 [1 per cell]  2 Mn 1.94-1.95
O 0.2842 0.5358 0.5043 [1 per cell]  2 Mn 1.93-1.96
O 0.2885 0.0191 0.5068 [1 per cell]  2 Mn 1.88-1.95
O 0.2927 0.5308 0.0036 [1 per cell]  2 Mn 1.94-1.96
O 0.3017 0.0288 0.0006 [1 per cell]  2 Mn 1.86-1.96
O 0.3427 0.6721 0.3670 [1 per cell]  2 Mn 1.94-2.00
O 0.3547 0.1678 0.6485 [1 per cell]  2 Mn 1.95-1.96
O 0.3548 0.6673 0.8593 [1 per cell]  2 Mn 1.96
O 0.3547 0.6686 0.6484 [1 per cell]  2 Mn 1.97
O 0.3556 0.1680 0.8581 [1 per cell]  2 Mn 1.96-1.97
O 0.3581 0.1472 0.1592 [1 per cell]  2 Mn 1.88-2.10
O 0.3578 0.1730 0.3506 [1 per cell]  2 Mn 1.84-1.99
O 0.3588 0.6650 0.1441 [1 per cell]  2 Mn 1.94-1.96
O 0.3702 0.9156 0.3419 [1 per cell]  1 Mn 1.87
O 0.3974 0.4136 0.1517 [1 per cell]  2 Mn 1.97-1.99
O 0.3992 0.4184 0.6475 [1 per cell]  2 Mn 1.96-1.97
O 0.3994 0.9163 0.6502 [1 per cell]  2 Mn 1.96-1.97
O 0.3996 0.4169 0.8589 [1 per cell]  2 Mn 1.96-1.97
O 0.4002 0.9174 0.8563 [1 per cell]  2 Mn 1.96-1.97
O 0.4078 0.4143 0.3571 [1 per cell]  2 Mn 1.90-1.96
O 0.4598 0.7881 0.0048 [1 per cell]  2 Mn 1.92-1.98
O 0.4606 0.2793 0.0052 [1 per cell]  2 Mn 1.95-1.99
O 0.4619 0.2787 0.5033 [1 per cell]  2 Mn 1.97-1.98
O 0.4664 0.7866 0.5034 [1 per cell]  2 Mn 1.94-1.99
O 0.5296 0.7698 0.2514 [1 per cell]  2 Mn 1.96-1.98
O 0.5418 0.2614 0.7538 [1 per cell]  2 Mn 1.95-1.96
O 0.5427 0.7597 0.7545 [1 per cell]  2 Mn 1.94-1.96
O 0.5464 0.2611 0.2535 [1 per cell]  2 Mn 1.95-1.96
O 0.6015 0.1213 0.1099 [1 per cell]  2 Mn 1.96
O 0.6015 0.6248 0.3972 [1 per cell]  2 Mn 1.96-2.00
O 0.6025 0.1196 0.3979 [1 per cell]  2 Mn 1.91-1.99
O 0.6052 0.6265 0.9010 [1 per cell]  2 Mn 1.96-1.98
O 0.6059 0.1271 0.6096 [1 per cell]  2 Mn 1.96-1.98
O 0.6063 0.6264 0.6077 [1 per cell]  2 Mn 1.96-1.97
O 0.6084 0.1287 0.8968 [1 per cell]  2 Mn 1.95-1.97
O 0.6121 0.6179 0.1083 [1 per cell]  2 Mn 1.89-1.94
O 0.6425 0.8790 0.1088 [1 per cell]  2 Mn 1.93-1.96
O 0.6479 0.8742 0.3980 [1 per cell]  2 Mn 1.96-1.98
O 0.6485 0.3759 0.6081 [1 per cell]  2 Mn 1.96
O 0.6486 0.3761 0.9001 [1 per cell]  2 Mn 1.96
O 0.6492 0.8760 0.6085 [1 per cell]  2 Mn 1.95-1.96
O 0.6490 0.8759 0.9000 [1 per cell]  2 Mn 1.97
O 0.6501 0.3706 0.1076 [1 per cell]  2 Mn 1.95-1.97
O 0.6518 0.3709 0.4011 [1 per cell]  2 Mn 1.90-1.95
O 0.7130 0.5106 0.7540 [1 per cell]  2 Mn 1.95
O 0.7136 0.0100 0.7537 [1 per cell]  2 Mn 1.93-1.94
O 0.7143 0.5093 0.2535 [1 per cell]  2 Mn 1.95-1.98
O 0.7195 0.0102 0.2543 [1 per cell]  2 Mn 1.96
O 0.7876 0.0312 0.5046 [1 per cell]  2 Mn 1.94-1.96
O 0.7892 0.0319 0.0037 [1 per cell]  2 Mn 1.94-1.96
O 0.7903 0.5322 0.5044 [1 per cell]  2 Mn 1.96-1.97
O 0.7940 0.5315 0.0032 [1 per cell]  2 Mn 1.94-1.95
O 0.8533 0.1681 0.1504 [1 per cell]  2 Mn 1.96-1.97
O 0.8549 0.1694 0.3574 [1 per cell]  2 Mn 1.95-1.97
O 0.8553 0.6673 0.8589 [1 per cell]  2 Mn 1.96-1.97
O 0.8555 0.6689 0.6467 [1 per cell]  2 Mn 1.96-1.97
O 0.8559 0.1671 0.6496 [1 per cell]  2 Mn 1.95-1.96
O 0.8569 0.1671 0.8582 [1 per cell]  2 Mn 1.95-1.96
O 0.8568 0.6574 0.3567 [1 per cell]  2 Mn 1.86-1.93
O 0.8596 0.6677 0.1529 [1 per cell]  2 Mn 1.94-2.03
O 0.8987 0.4147 0.1482 [1 per cell]  2 Mn 1.92-1.95
O 0.8992 0.4168 0.8584 [1 per cell]  2 Mn 1.97-1.98
O 0.8987 0.9156 0.1501 [1 per cell]  2 Mn 1.95-1.99
O 0.8990 0.9177 0.8591 [1 per cell]  2 Mn 1.95-1.98
O 0.8999 0.9176 0.6461 [1 per cell]  2 Mn 1.97
O 0.9009 0.4180 0.6478 [1 per cell]  2 Mn 1.97-1.98
O 0.9015 0.9285 0.3602 [1 per cell]  2 Mn 1.84-1.96
O 0.9033 0.4177 0.3590 [1 per cell]  2 Mn 1.93-2.00
O 0.9637 0.2808 0.0041 [1 per cell]  2 Mn 1.95-1.96
O 0.9648 0.2744 0.5039 [1 per cell]  2 Mn 1.96-1.98
O 0.9687 0.7843 0.0066 [1 per cell]  2 Mn 1.94-1.99
O 0.9906 0.7789 0.4961 [1 per cell]  2 Mn 1.84-2.06

Properties
Calculated volume in Å³ per atom: 11.4
Crystal system: triclinic
Total magnetic moment in μB per formula unit: 26.00

It comes down to model Q, which is 40 meV/atom more stable than the next structure.